BeH4NF3 | PBE-GGA | relaxed

Unit cell a=5.830 b=4.487 c=14.227 alpha=90.00 beta=113.77 gamma=90.00
Sites, in units of the cell vectors:
Be1 0.000 0.180 0.000
Be2 0.000 0.820 0.500
Be3 0.088 0.318 0.640
Be4 0.088 0.682 0.140
H1 0.351 0.082 0.442
H2 0.351 0.918 0.942
H3 0.358 0.470 0.442
H4 0.358 0.530 0.942
H5 0.381 0.272 0.346
H6 0.381 0.728 0.846
H7 0.484 0.234 0.183
H8 0.484 0.766 0.683
H9 0.619 0.268 0.460
H10 0.619 0.732 0.960
H11 0.717 0.229 0.299
H12 0.717 0.771 0.799
H13 0.749 0.041 0.203
H14 0.749 0.959 0.703
H15 0.751 0.429 0.204
H16 0.751 0.571 0.704
N1 0.427 0.273 0.423
N2 0.427 0.727 0.923
N3 0.676 0.234 0.222
N4 0.676 0.766 0.722
F1 0.006 0.168 0.528
F2 0.006 0.832 0.028
F3 0.086 0.334 0.111
F4 0.086 0.666 0.611
F5 0.214 0.227 0.962
F6 0.214 0.773 0.462
F7 0.343 0.239 0.716
F8 0.343 0.761 0.216
F9 0.739 0.256 0.927
F10 0.739 0.744 0.427
F11 0.868 0.268 0.674
F12 0.868 0.732 0.174

Theoretical density   1.64 g cm⁻³
SG   Pc
Uncorrected energy   -5.1684 eV per atom
E (MP2020)   -191.61 eV per cell
ΔE_f   -16.51 eV per formula unit